# MgAu4Se4Cl4O12

A geometry-optimized MgAu4Se4Cl4O12 structure (PBE-GGA, the Materials Project).

POSCAR file:
```
MgAu4Se4Cl4O12
1.0
4.568 0.000 0.000
-0.729 9.835 0.000
-0.436 -0.686 11.293
Mg Au Se Cl O
1 4 4 4 12
Cartesian
0.000 0.000 0.000
3.179 3.077 6.534
2.797 7.856 7.542
3.438 3.687 0.823
3.230 7.469 2.813
-0.610 5.920 11.182
-0.046 1.968 9.308
2.109 4.532 3.786
2.620 0.700 2.069
-0.007 1.243 6.249
0.512 8.199 8.038
1.624 8.056 4.351
1.938 5.015 6.843
-0.014 2.917 10.809
0.232 6.999 1.560
1.916 0.304 0.586
1.918 3.812 2.201
2.987 5.540 0.155
3.073 3.252 4.496
3.171 2.828 8.545
3.235 9.342 2.016
3.481 5.614 3.573
3.885 1.802 1.472
3.088 7.272 10.670
3.772 0.536 9.785
```

Output
energy above the most stable polymorph in this dataset = 0.000 eV/atom
size of the total moment = 0.00 Bohr magnetons per cell
DFT formation energy = -0.979 eV/atom
crystal system = triclinic